Entry 1:
MgNi2 | meta-GGA r2SCAN | relaxed

Structure (extended XYZ):
```
6
Lattice="0.0000 3.3674 3.3674 3.3674 0.0000 3.3674 3.3674 3.3674 0.0000" Properties=species:S:1:pos:R:3 pbc="T T T"
Mg 0.8418 0.8418 0.8418
Mg 5.8929 5.8929 5.8929
Ni 3.3674 1.6837 1.6837
Ni 1.6837 3.3674 1.6837
Ni 1.6837 1.6837 3.3674
Ni 3.3674 3.3674 3.3674
```

Values from the calculation:
Crystal system ... cubic



Entry 2:
Mg2Ni | meta-GGA r2SCAN | relaxed

Structure (extended XYZ):
```
6
Lattice="-3.0784 3.0912 2.6413 3.0784 -3.0912 2.6413 3.0784 3.0912 -2.6413" Properties=species:S:1:pos:R:3 pbc="T T T"
Mg 1.0871 1.0931 0.0000
Mg 4.1655 1.9981 0.0000
Mg -1.0871 1.0931 2.6413
Mg 1.9914 1.9981 2.6413
Ni 3.0784 0.0000 1.3206
Ni 0.0000 3.0912 1.3206
```

Values from the calculation:
Crystal system ... orthorhombic



Entry 3:
Mg2Ni | meta-GGA r2SCAN | relaxed

Structure (extended XYZ):
```
18
Lattice="5.1511 0.0000 0.0000 -2.5756 4.4610 0.0000 0.0000 0.0000 13.0711" Properties=species:S:1:pos:R:3 pbc="T T T"
Mg -1.2878 2.2305 0.6615
Mg -1.2878 2.2305 3.6955
Mg 0.0000 1.4656 6.5356
Mg -1.3064 3.7282 10.8926
Mg 1.2692 0.7328 2.1785
Mg 2.5756 0.0000 5.0186
Mg 2.5756 0.0000 8.0526
Mg 1.2878 2.2305 9.3756
Mg 1.2878 2.2305 12.4096
Mg 1.3064 3.7282 2.1785
Mg 3.8819 0.7328 10.8926
Mg 2.5756 2.9955 6.5356
Ni 0.0000 0.0000 0.0000
Ni 0.0000 0.0000 4.3570
Ni 0.0000 0.0000 8.7141
Ni -1.2878 2.2305 8.7141
Ni 2.5756 0.0000 0.0000
Ni 1.2878 2.2305 4.3570
```

Values from the calculation:
Crystal system ... hexagonal



Entry 4:
MgNi | meta-GGA r2SCAN | relaxed

Structure (extended XYZ):
```
4
Lattice="4.2525 0.0000 0.0000 0.0000 3.0050 0.0000 0.0000 0.0000 4.2589" Properties=species:S:1:pos:R:3 pbc="T T T"
Mg 1.0631 0.0000 1.0622
Mg 3.1894 0.0000 3.1967
Ni 1.0631 1.5025 3.1903
Ni 3.1894 1.5025 1.0686
```

Values from the calculation:
Crystal system ... orthorhombic



no.,energy of formation (meV/atom)
1,-158
2,-112
3,-114
4,-81